Run A
DFT (PBE with a Hubbard U) results for Li24Ti7Cr5O36 after structural relaxation.

Properties
- calculated density (Mg/m³) = 3.44

Lattice parameters (Å, degrees): 5.0631 9.8087 13.4300 80.66 79.35 85.37
Last column: nearest neighbours and their distance in Å.
Sites, in units of the cell vectors:
1 Li 0.7497 0.2501 0.2497  6 O 2.12-2.13
2 Li 0.2295 0.9987 0.0549  6 O 2.07-2.26
3 Li 0.0858 0.2502 0.5843  6 O 2.09-2.14
4 Li 0.9339 0.4998 0.1128  6 O 2.10-2.21
5 Li 0.0968 0.9989 0.2792  6 O 2.08-2.24
6 Li 0.9011 0.0018 0.7217  6 O 2.08-2.25
7 Li 0.9161 0.7502 0.4162  6 O 2.11-2.12
8 Li 0.6030 0.4997 0.7802  6 O 2.07-2.25
9 Li 0.2501 0.7499 0.7501  6 O 2.12-2.13
10 Li 0.5820 0.7499 0.0841  6 O 2.09-2.13
11 Li 0.5042 0.5006 0.0005  6 O 2.03-2.23
12 Li 0.3311 0.9986 0.8328  6 O 2.03-2.23
13 Li 0.9985 0.0003 0.4991  6 O 2.03-2.22
14 Li 0.7298 0.4990 0.5520  6 O 2.06-2.25
15 Li 0.1618 0.5000 0.6666  6 O 2.04-2.19
16 Li 0.7663 0.0016 0.9456  6 O 2.10-2.26
17 Li 0.5673 0.0007 0.3888  6 O 2.10-2.22
18 Li 0.4371 0.9993 0.6116  6 O 2.08-2.20
19 Li 0.2708 0.4997 0.4483  6 O 2.07-2.25
20 Li 0.0648 0.4986 0.8879  6 O 2.09-2.22
21 Li 0.3951 0.5019 0.2194  6 O 2.07-2.25
22 Li 0.6737 0.0012 0.1660  6 O 2.04-2.24
23 Li 0.8365 0.4990 0.3324  6 O 2.03-2.26
24 Li 0.4168 0.2497 0.9166  6 O 2.09-2.13
25 O 0.4513 0.8661 0.9518  2 Ti 1.99-2.00, 4 Li 2.04-2.16
26 O 0.4025 0.1352 0.2626  2 Ti 1.94-1.99, 2 Li 2.08-2.13
27 O 0.1268 0.8638 0.6157  1 Cr 1.94, 1 Ti 1.99, 3 Li 2.05-2.13
28 O 0.7400 0.1379 0.5926  1 Cr 1.92, 1 Ti 2.00, 2 Li 2.08-2.12
29 O 0.9434 0.3644 0.4528  1 Cr 1.91, 1 Ti 2.04, 2 Li 2.04-2.12
30 O 0.5957 0.8638 0.7364  2 Ti 1.96-2.00, 2 Li 2.10-2.12
31 O 0.4255 0.3639 0.5720  1 Ti 1.94, 1 Cr 1.99, 3 Li 2.06-2.18
32 O 0.5680 0.6386 0.4312  1 Cr 1.93, 1 Ti 1.99, 2 Li 2.07-2.11
33 O 0.3805 0.6338 0.8819  2 Ti 1.97-2.01, 4 Li 2.05-2.15
34 O 0.2603 0.8625 0.4065  1 Ti 1.94, 1 Cr 1.96, 2 Li 2.10-2.11
35 O 0.1645 0.6379 0.3087  1 Cr 1.95, 1 Ti 1.98, 3 Li 2.08-2.18
36 O 0.0435 0.6332 0.5478  1 Ti 1.95, 1 Cr 2.00, 4 Li 2.04-2.14
37 O 0.7211 0.6360 0.2156  1 Cr 1.91, 2 Li 2.03-2.13, 1 Ti 2.04
38 O 0.7835 0.8660 0.2855  1 Ti 1.96, 1 Cr 1.99, 4 Li 2.04-2.16
39 O 0.6709 0.1381 0.8107  1 Cr 1.94, 1 Ti 1.99, 2 Li 2.08-2.12
40 O 0.8342 0.3623 0.6921  1 Cr 1.97, 1 Ti 1.97, 3 Li 2.08-2.17
41 O 0.0744 0.1391 0.9253  2 Cr 1.89-2.00, 2 Li 2.09-2.10
42 O 0.6712 0.8639 0.5222  1 Ti 1.94, 1 Cr 1.98, 3 Li 2.09-2.16
43 O 0.2777 0.3650 0.7855  1 Cr 1.94, 1 Ti 2.00, 3 Li 2.05-2.14
44 O 0.7587 0.3607 0.9079  2 Cr 1.89-2.00, 2 Li 2.09
45 O 0.3364 0.1385 0.4782  1 Ti 1.95, 1 Cr 1.96, 3 Li 2.10-2.18
46 O 0.5562 0.1351 0.0473  1 Cr 1.92, 1 Ti 2.04, 3 Li 2.04-2.13
47 O 0.8326 0.6364 0.9777  2 Ti 1.96-1.99, 4 Li 2.10-2.19
48 O 0.9046 0.6365 0.7623  2 Ti 1.96-2.00, 3 Li 2.07-2.19
49 O 0.3296 0.8625 0.1897  1 Ti 1.96, 1 Cr 1.97, 3 Li 2.09-2.18
50 O 0.8837 0.1346 0.3808  1 Ti 1.96, 1 Cr 2.00, 4 Li 2.03-2.15
51 O 0.1640 0.3618 0.0215  1 Ti 1.96, 1 Cr 1.96, 3 Li 2.11-2.17
52 O 0.9984 0.1381 0.1410  1 Cr 1.97, 1 Ti 1.97, 3 Li 2.08-2.15
53 O 0.0960 0.3641 0.2376  2 Ti 1.95-1.99, 3 Li 2.07-2.18
54 O 0.9999 0.8640 0.8565  2 Ti 1.94-2.01, 3 Li 2.10-2.16
55 O 0.5022 0.3623 0.3582  1 Cr 1.95, 1 Ti 1.98, 3 Li 2.10-2.19
56 O 0.9273 0.8615 0.0745  1 Cr 1.91, 1 Ti 2.01, 2 Li 2.07-2.11
57 O 0.2177 0.1332 0.7146  1 Ti 1.97, 1 Cr 2.00, 4 Li 2.03-2.16
58 O 0.4933 0.6375 0.6415  1 Cr 1.91, 1 Ti 2.00, 2 Li 2.11-2.12
59 O 0.2438 0.6362 0.0958  1 Ti 1.93, 1 Cr 1.99, 3 Li 2.09-2.16
60 O 0.6156 0.3658 0.1188  1 Ti 1.96, 1 Cr 2.00, 4 Li 2.03-2.15
61 Cr 0.3628 0.7485 0.5287  6 O 1.91-2.00
62 Cr 0.0228 0.7495 0.1944  6 O 1.91-1.99
63 Cr 0.6429 0.2510 0.4730  6 O 1.91-2.00
64 Cr 0.9752 0.2480 0.8073  6 O 1.89-2.00
65 Cr 0.8559 0.2509 0.0258  6 O 1.89-2.00
66 Ti 0.4673 0.7544 0.3069  6 O 1.94-2.04
67 Ti 0.5266 0.2509 0.6934  6 O 1.94-2.00
68 Ti 0.1421 0.7455 0.9743  6 O 1.93-2.01
69 Ti 0.8088 0.7502 0.6353  6 O 1.94-2.00
70 Ti 0.6987 0.7521 0.8593  6 O 1.94-2.01
71 Ti 0.1983 0.2458 0.3613  6 O 1.94-2.04
72 Ti 0.3015 0.2533 0.1386  6 O 1.95-2.04

---

Run B
DFT (PBE with a Hubbard U) results for Li24Ti7Cr5O36 after structural relaxation.

Properties
- calculated density (Mg/m³) = 3.43

Lattice parameters (Å, degrees): 5.0642 9.8164 13.4361 97.31 100.76 94.74
Last column: nearest neighbours and their distance in Å.
Sites, in units of the cell vectors:
1 Li 0.3346 0.7495 0.9163  6 O 2.08-2.15
2 Li 0.4943 0.0014 0.5017  6 O 2.06-2.22
3 Li 0.6243 0.0009 0.7206  6 O 2.10-2.25
4 Li 0.8383 0.0000 0.1662  6 O 2.05-2.24
5 Li 0.9999 0.2499 0.7501  6 O 2.10-2.13
6 Li 0.3315 0.2495 0.4169  6 O 2.11-2.15
7 Li 0.8261 0.5010 0.6673  6 O 2.04-2.26
8 Li 0.7179 0.5007 0.4472  6 O 2.06-2.25
9 Li 0.2870 0.4997 0.5529  6 O 2.09-2.24
10 Li 0.6669 0.7507 0.5837  6 O 2.10-2.13
11 Li 0.6655 0.2504 0.0824  6 O 2.10-2.14
12 Li 0.9999 0.7497 0.2505  6 O 2.11-2.14
13 Li 0.1640 0.9985 0.8344  6 O 2.04-2.27
14 Li 0.9504 0.5019 0.8880  6 O 2.08-2.21
15 Li 0.2883 0.0015 0.0553  6 O 2.08-2.28
16 Li 0.1683 0.5001 0.3335  6 O 2.06-2.20
17 Li 0.3808 0.0028 0.2789  6 O 2.08-2.22
18 Li 0.0482 0.9985 0.6109  6 O 2.07-2.21
19 Li 0.0491 0.4990 0.1133  6 O 2.08-2.22
20 Li 0.5026 0.4992 0.9995  6 O 2.05-2.21
21 Li 0.7108 0.9997 0.9451  6 O 2.07-2.27
22 Li 0.3840 0.4993 0.7798  6 O 2.08-2.20
23 Li 0.9511 0.9978 0.3871  6 O 2.08-2.21
24 Li 0.6123 0.4983 0.2183  6 O 2.07-2.28
25 O 0.1516 0.3633 0.6448  1 Cr 1.91, 1 Ti 2.02, 2 Li 2.09-2.12
26 O 0.0682 0.1345 0.2859  1 Ti 1.96, 1 Cr 1.99, 4 Li 2.05-2.15
27 O 0.6691 0.3606 0.7658  2 Cr 1.88-1.99, 2 Li 2.08-2.10
28 O 0.7372 0.6345 0.1180  2 Ti 1.96-2.00, 4 Li 2.05-2.15
29 O 0.1895 0.6367 0.0223  2 Ti 1.96-1.99, 3 Li 2.10-2.19
30 O 0.4807 0.8617 0.8097  1 Cr 1.96, 1 Ti 1.96, 2 Li 2.10-2.11
31 O 0.1437 0.8634 0.1432  2 Ti 1.94-2.01, 3 Li 2.08-2.17
32 O 0.3344 0.8622 0.5941  1 Ti 1.94, 1 Cr 1.97, 3 Li 2.08-2.16
33 O 0.5187 0.1390 0.1885  1 Cr 1.95, 1 Ti 1.97, 3 Li 2.08-2.17
34 O 0.6679 0.8635 0.2632  2 Ti 1.97-1.99, 3 Li 2.10-2.19
35 O 0.5267 0.6377 0.6914  1 Cr 1.96, 1 Ti 1.98, 3 Li 2.08-2.15
36 O 0.3325 0.6369 0.2382  2 Ti 1.96-1.99, 3 Li 2.07-2.19
37 O 0.8097 0.8631 0.4779  1 Ti 1.96, 1 Cr 1.96, 3 Li 2.08-2.18
38 O 0.4732 0.3616 0.3086  1 Cr 1.96, 1 Ti 1.97, 3 Li 2.08-2.18
39 O 0.6654 0.1353 0.4043  2 Ti 1.96-1.97, 2 Li 2.08-2.13
40 O 0.1869 0.1366 0.5230  1 Ti 1.94, 1 Cr 1.98, 3 Li 2.07-2.16
41 O 0.5959 0.3641 0.5506  1 Cr 1.98, 1 Ti 1.99, 4 Li 2.04-2.18
42 O 0.8482 0.1370 0.8565  1 Cr 1.90, 1 Ti 2.04, 1 Li 2.07
43 O 0.0007 0.6378 0.5690  1 Cr 1.93, 1 Ti 1.99, 2 Li 2.09-2.12
44 O 0.9370 0.3639 0.2135  1 Cr 1.92, 1 Ti 2.02, 3 Li 2.06-2.14
45 O 0.8620 0.6380 0.3582  1 Cr 1.92, 1 Ti 1.98, 2 Li 2.09-2.11
46 O 0.4067 0.6340 0.4527  1 Ti 1.96, 1 Cr 2.00, 4 Li 2.06-2.14
47 O 0.6615 0.6369 0.9044  1 Ti 1.94, 1 Cr 1.98, 2 Li 2.08
48 O 0.2589 0.8635 0.3843  1 Cr 1.94, 1 Ti 1.99, 3 Li 2.06-2.14
49 O 0.9972 0.3636 0.4288  2 Ti 1.97-1.98, 3 Li 2.06-2.20
50 O 0.9990 0.8621 0.9253  1 Cr 1.92, 1 Ti 2.00, 3 Li 2.10-2.14
51 O 0.9331 0.8661 0.7143  1 Ti 1.96, 1 Cr 1.99, 4 Li 2.04-2.14
52 O 0.4031 0.1352 0.9493  1 Cr 1.99, 1 Ti 1.99, 4 Li 2.04-2.18
53 O 0.5969 0.8659 0.0480  2 Ti 1.99-2.00, 4 Li 2.06-2.15
54 O 0.2660 0.3638 0.8808  1 Ti 1.95, 1 Cr 1.99, 3 Li 2.06-2.14
55 O 0.0612 0.6357 0.7846  1 Cr 1.92, 1 Ti 2.03, 2 Li 2.04-2.15
56 O 0.7348 0.1364 0.6198  1 Ti 1.97, 1 Cr 1.98, 4 Li 2.06-2.18
57 O 0.0034 0.1380 0.0740  1 Cr 1.91, 1 Ti 2.02, 2 Li 2.08-2.12
58 O 0.3380 0.3643 0.0949  1 Ti 1.93, 1 Cr 1.99, 2 Li 2.08-2.10
59 O 0.8133 0.3637 0.9772  1 Ti 1.94, 1 Cr 1.98, 2 Li 2.08-2.11
60 O 0.3318 0.1387 0.7341  2 Cr 1.88-1.99, 1 Li 2.10
61 Cr 0.7821 0.7501 0.8058  6 O 1.92-1.99
62 Cr 0.4381 0.2493 0.6409  6 O 1.88-1.99
63 Cr 0.5630 0.2500 0.8593  6 O 1.88-1.99
64 Cr 0.2182 0.2499 0.1933  6 O 1.91-1.99
65 Cr 0.1074 0.7489 0.4718  6 O 1.92-2.00
66 Ti 0.4425 0.7516 0.1404  6 O 1.94-2.00
67 Ti 0.8879 0.2476 0.5276  6 O 1.94-2.02
68 Ti 0.5560 0.7497 0.3638  6 O 1.96-1.99
69 Ti 0.8854 0.7467 0.0260  6 O 1.94-2.01
70 Ti 0.1171 0.2557 0.9736  6 O 1.93-2.04
71 Ti 0.2258 0.7534 0.6933  6 O 1.94-2.03
72 Ti 0.7762 0.2480 0.3057  6 O 1.96-2.02

---

Which one is most stable, and which one is least stable? run A is the most stable of them, while run B is the least stable.